Record 1
Compound: MgV2O4
Source: the Materials Project
Functional: GGA+U
Structure: relaxed

```
14
Lattice="0.0000 4.2878 4.2878 4.2878 0.0000 4.2878 4.2878 4.2878 0.0000" Properties=species:S:1:pos:R:3 pbc="T T T"
Mg 1.0720 1.0720 1.0720
Mg 7.5037 7.5037 7.5037
V 4.2878 2.1439 2.1439
V 2.1439 4.2878 2.1439
V 2.1439 2.1439 4.2878
V 4.2878 4.2878 4.2878
O 2.2308 2.2308 2.2308
O 4.2009 4.2009 2.2308
O 4.2009 2.2308 4.2009
O 6.3448 4.3747 4.3747
O 2.2308 4.2009 4.2009
O 4.3747 6.3448 4.3747
O 4.3747 4.3747 6.3448
O 6.3448 6.3448 6.3448
```

* energy of formation: -2.624 eV/atom
* MP2020-corrected energy: -8.27 eV per atom
* energy above the lowest structure with this stoichiometry: 0.58 eV per formula unit

---

Record 2
Compound: VNiP2O8
Source: the Materials Project
Functional: GGA+U
Structure: relaxed

```
24
Lattice="4.7981 0.0000 0.0000 0.0007 5.8188 0.0000 0.1316 0.0076 9.9068" Properties=species:S:1:pos:R:3 pbc="T T T"
V 0.0000 0.0000 0.0000
V 0.5539 2.8966 4.4094
Ni 2.5245 2.9207 9.3917
Ni 2.9584 0.0086 4.9149
P 0.6709 5.8057 3.0914
P 2.2109 0.0138 8.1053
P 3.2785 2.9360 6.2076
P 4.6866 2.9080 1.3125
O 1.1183 5.8081 1.6151
O 1.3560 4.5708 3.8370
O 1.3621 1.2039 3.8581
O 1.4723 1.1812 8.8847
O 1.4746 4.6503 8.8589
O 1.3850 2.9072 1.1746
O 1.7679 2.9469 5.8893
O 1.9639 0.0435 6.6246
O 3.5237 2.8917 7.6876
O 3.7253 5.8209 8.4162
O 3.9720 5.8151 3.2279
O 4.0169 1.7632 5.4230
O 4.0181 4.1136 5.4628
O 3.9935 1.6823 0.5616
O 3.9990 4.1334 0.5509
O 4.2422 2.9208 2.7890
```

* energy of formation: -2.225 eV/atom
* MP2020-corrected energy: -7.66 eV per atom
* energy above the lowest structure with this stoichiometry: 2.04 eV per formula unit

---

Record 3
Compound: LiCr2P2O8
Source: the Materials Project
Functional: GGA+U
Structure: relaxed

```
26
Lattice="5.5344 0.0000 0.0000 1.3023 6.2752 0.0000 1.1659 2.4567 8.9343" Properties=species:S:1:pos:R:3 pbc="T T T"
Li 1.9562 3.3407 3.4203
Li 6.0463 5.3913 5.5139
Cr 1.6276 2.0704 6.3573
Cr 2.0527 1.2326 0.7460
Cr 5.9498 7.4994 8.1883
Cr 6.3749 6.6616 2.5770
P 2.0603 4.5774 0.4496
P 3.3307 6.3031 3.7845
P 4.6719 2.4288 5.1497
P 5.9422 4.1545 8.4847
O 1.6147 3.4396 7.8092
O 2.0565 5.3635 3.7655
O 2.9715 6.9523 7.8554
O 1.4994 1.1608 2.7874
O 2.2533 3.2079 1.0980
O 3.5285 6.8628 5.1914
O 3.3417 5.4344 0.7041
O 3.3521 3.0493 5.6338
O 4.6504 5.6826 3.3004
O 4.6608 3.2975 8.2302
O 4.4740 1.8692 3.7429
O 5.7492 5.5240 7.8362
O 6.5031 7.5712 6.1469
O 5.0311 1.7796 1.0788
O 5.9460 3.3684 5.1687
O 6.3878 5.2924 1.1251
```

* energy of formation: -2.512 eV/atom
* MP2020-corrected energy: -8.02 eV per atom
* energy above the lowest structure with this stoichiometry: 0.33 eV per formula unit

---

Question: What is the formula in the third record?
Answer: LiCr2P2O8